No. 1
The following is a GGA-PBE calculation of a relaxed Rb3ScCl6 crystal, from the Materials Project database.

Cell lengths 7.921, 7.921, 7.921 Å; angles 60.00, 60.00, 60.00 degrees
Fractional coordinates of all 10 atoms:
Sc1 0.000 0.000 0.000
Cl1 0.223 0.777 0.777
Cl2 0.777 0.223 0.223
Cl3 0.223 0.777 0.223
Cl4 0.777 0.223 0.777
Cl5 0.777 0.777 0.223
Cl6 0.223 0.223 0.777
Rb1 0.250 0.250 0.250
Rb2 0.500 0.500 0.500
Rb3 0.750 0.750 0.750

Final energy ... -4.06 eV per atom
Energy of formation from the pure elements ... -2.39 eV/atom

No. 2
The following is a GGA-PBE calculation of a relaxed Rb2ScTlCl6 crystal, from the Materials Project database.

Cell lengths 7.864, 7.864, 7.864 Å; angles 60.00, 60.00, 60.00 degrees
Fractional coordinates of all 10 atoms:
Tl1 0.500 0.500 0.500
Rb1 0.250 0.250 0.250
Rb2 0.750 0.750 0.750
Cl1 0.225 0.775 0.775
Cl2 0.225 0.775 0.225
Cl3 0.775 0.225 0.225
Cl4 0.775 0.775 0.225
Cl5 0.775 0.225 0.775
Cl6 0.225 0.225 0.775
Sc1 0.000 0.000 0.000

Final energy ... -4.02 eV per atom
Energy of formation from the pure elements ... -2.21 eV/atom
M_tot ... 0.0 μB per formula unit

No. 3
The following is a GGA-PBE calculation of a relaxed Rb2SnCl6 crystal, from the Materials Project database.

Cell lengths 7.364, 7.364, 7.364 Å; angles 60.00, 60.00, 60.00 degrees
Fractional coordinates of all 9 atoms:
Cl1 0.237 0.763 0.763
Cl2 0.763 0.237 0.237
Cl3 0.237 0.763 0.237
Cl4 0.237 0.237 0.763
Cl5 0.763 0.237 0.763
Cl6 0.763 0.763 0.237
Rb1 0.250 0.250 0.250
Rb2 0.750 0.750 0.750
Sn1 0.000 0.000 0.000

Final energy ... -3.37 eV per atom
Energy of formation from the pure elements ... -1.89 eV/atom